A relaxed TbNbRu2 crystal, computed with GGA-PBE.

Results
As for the space group: Fm-3m (225). The value obtained for the total energy is -8.5828 eV per atom. The value obtained for the formation enthalpy at 0 K is -0.26 eV/atom. As for the total moment: 0.0 μB per formula unit. The calculation puts the mass density at 10.61 g cm⁻³.

Cell: 4.6495 4.6495 4.6495 Å, 60.00 60.00 60.00°
Last column: nearest neighbours and their distance in Å.
Sites, in units of the cell vectors:
Tb  0.0000  0.0000  0.0000  8 Ru 2.85
Nb  0.5000  0.5000  0.5000  8 Ru 2.85
Ru  0.2500  0.2500  0.2500  4 Tb 2.85, 4 Nb 2.85
Ru  0.7500  0.7500  0.7500  4 Tb 2.85, 4 Nb 2.85

---

A relaxed Nb2TcRu crystal, computed with GGA-PBE.

Results
As for the space group: Fm-3m (225). The value obtained for the total energy is -10.2149 eV per atom. The value obtained for the formation enthalpy at 0 K is -0.26 eV/atom. The calculation puts the mass density at 9.83 g cm⁻³.

Cell: 4.5135 4.5135 4.5135 Å, 60.00 60.00 60.00°
Last column: nearest neighbours and their distance in Å.
Sites, in units of the cell vectors:
Nb  0.2500  0.2500  0.2500  4 Ru 2.76, 4 Tc 2.76
Nb  0.7500  0.7500  0.7500  4 Tc 2.76, 4 Ru 2.76
Tc  0.0000  0.0000  0.0000  8 Nb 2.76
Ru  0.5000  0.5000  0.5000  8 Nb 2.76

---

A relaxed YNbRu2 crystal, computed with GGA-PBE.

Results
As for the space group: Fm-3m (225). The value obtained for the total energy is -9.0459 eV per atom. The value obtained for the formation enthalpy at 0 K is -0.27 eV/atom. The calculation puts the mass density at 8.99 g cm⁻³.

Cell: 4.6461 4.6461 4.6461 Å, 60.00 60.00 60.00°
Last column: nearest neighbours and their distance in Å.
Sites, in units of the cell vectors:
Y  0.0000  0.0000  0.0000  8 Ru 2.85
Nb  0.5000  0.5000  0.5000  8 Ru 2.85
Ru  0.2500  0.2500  0.2500  4 Nb 2.85, 4 Y 2.85
Ru  0.7500  0.7500  0.7500  4 Nb 2.85, 4 Y 2.85

---

Which of these has the highest mass density?
TbNbRu2

---

Among the records above, which one has the highest mass density?
TbNbRu2

---

Look up the mass density of the second one.
9.83 g cm⁻³